[1]
A plane-wave DFT calculation with r²SCAN was carried out for a geometry-optimized TlCu2Se2 structure.

The structure in POSCAR format:
```
TlCu2Se2
1.0
3.7156 0.0000 -0.9839
-0.2605 3.7065 -0.9839
0.0393 0.0421 7.6564
Cu Se Tl
2 2 1
Cartesian
2.7412 0.9477 2.8443 Cu
0.7531 2.8009 2.8443 Cu
1.2587 1.3503 4.7538 Se
2.2356 2.3983 0.9349 Se
0.0000 0.0000 0.0000 Tl
```

Summary:
volume: 21.2 Å³ per atom
symmetry: I4/mmm (139)

---

[2]
A plane-wave DFT calculation with r²SCAN was carried out for a geometry-optimized Cs3BiCl6 structure.

The structure in POSCAR format:
```
Cs3BiCl6
1.0
-1.4352 -14.1301 -0.5838
4.3208 -12.0581 -6.1640
9.4946 -3.4404 8.5163
Cs Bi Cl
12 4 24
Cartesian
0.7992 -15.1445 -1.7552 Cs
4.1870 -18.7451 -0.3605 Cs
11.0715 -19.6959 1.8257 Cs
11.5811 -14.4841 3.5237 Cs
5.6279 -9.2517 -1.4892 Cs
8.1933 -10.8835 2.1290 Cs
1.3088 -9.9327 -0.0572 Cs
8.3985 -15.8380 -0.2619 Cs
6.7595 -12.2735 6.2741 Cs
6.7524 -20.3769 3.2577 Cs
3.9818 -13.7906 2.0304 Cs
5.6207 -17.3551 -4.5056 Cs
5.4509 -13.3658 -2.8294 Bi
4.0297 -8.7853 3.9662 Bi
2.1604 -6.0290 -3.0820 Bi
6.9293 -16.2628 4.5979 Bi
9.1361 -27.1212 -0.3000 Cl
3.2977 -12.1018 -1.7515 Cl
3.8019 -14.2595 -4.7714 Cl
4.6171 -10.1257 1.6599 Cl
9.9802 -11.6242 5.3211 Cl
9.0825 -17.5268 3.5200 Cl
4.6762 -6.3209 3.0216 Cl
4.7137 -25.2840 -4.8732 Cl
3.1350 -6.9705 -0.7130 Cl
5.7707 -20.4797 -3.0105 Cl
7.7041 -23.3077 -1.2531 Cl
7.6665 -4.3446 6.6417 Cl
5.3653 -17.1258 2.5734 Cl
3.2442 -2.5074 2.0685 Cl
9.2453 -22.6581 2.4814 Cl
2.4001 -18.0044 -3.5526 Cl
6.6096 -9.1489 4.7790 Cl
9.9343 -7.8573 6.7845 Cl
8.5783 -15.3691 6.5399 Cl
2.4460 -21.7713 -5.0160 Cl
7.7631 -19.5029 0.1086 Cl
7.0149 -12.5028 -0.8049 Cl
4.9531 -15.5842 -1.3371 Cl
7.4272 -14.0444 3.1056 Cl
```

Summary:
volume: 36.7 Å³ per atom
symmetry: C2/c (15)

---

[3]
A plane-wave DFT calculation with r²SCAN was carried out for a geometry-optimized LaIn2 structure.

The structure in POSCAR format:
```
LaIn2
1.0
-3.3321 -2.6293 -2.2028
-4.4121 -2.2540 4.1738
-5.4253 3.3879 -1.0279
In La
4 2
Cartesian
-4.4254 -1.7279 -1.6249 In
-3.9333 0.2658 0.4417 In
-9.2363 -1.7611 0.5014 In
-8.7442 0.2326 2.5680 In
-7.2253 0.8868 -0.5105 La
-5.9443 -2.3821 1.4536 La
```

Summary:
volume: 28.5 Å³ per atom
symmetry: Imma (74)

---

[4]
A plane-wave DFT calculation with r²SCAN was carried out for a geometry-optimized YInPd2 structure.

The structure in POSCAR format:
```
YInPd2
1.0
4.1391 0.0000 2.3897
1.3797 3.9024 2.3897
0.0000 0.0000 4.7794
Y Pd In
1 2 1
Cartesian
0.0000 0.0000 0.0000 Y
1.3797 0.9756 2.3897 Pd
4.1391 2.9268 7.1692 Pd
2.7594 1.9512 4.7794 In
```

Summary:
volume: 19.3 Å³ per atom
symmetry: Fm-3m (225)

---

| no. | formation energy (meV per atom) |
| --- | --- |
| 1 | -316 |
| 2 | -1829 |
| 3 | -673 |
| 4 | -866 |